Record 1
Compound: MnOF
Source: the Materials Project
Functional: PBE+U
Structure: relaxed

Properties
Final energy   -20.1 eV/f.u.

Cell lengths 3.8370, 6.2572, 3.1868 Å; angles 90.00, 90.00, 90.00 degrees
Sites, in units of the cell vectors:
Mn (0.0000, 0.1509, 0.0000)
Mn (0.5000, 0.8491, 0.5000)
O (0.0000, 0.9245, 0.4355)
O (0.5000, 0.0755, 0.9355)
F (0.0000, 0.3487, 0.5447)
F (0.5000, 0.6513, 0.0447)

Record 2
Compound: Ca8Mn6Cr2O21
Source: the Materials Project
Functional: PBE+U
Structure: relaxed

Properties
Relative energy among the computed polymorphs   34 meV/atom

Cell lengths 7.6972, 7.7856, 7.7852 Å; angles 90.00, 90.23, 90.00 degrees
Sites, in units of the cell vectors:
Ca (0.0000, 0.2284, 0.0000)
Ca (0.0000, 0.7716, 0.0000)
Ca (0.4385, 0.2425, 0.4721)
Ca (0.4385, 0.7575, 0.4721)
Ca (0.4474, 0.2345, 0.9664)
Ca (0.4474, 0.7655, 0.9664)
Ca (0.9748, 0.2543, 0.4806)
Ca (0.9748, 0.7457, 0.4806)
Mn (0.1926, 0.5000, 0.7423)
Mn (0.1974, 0.0000, 0.7349)
Mn (0.1995, 0.0000, 0.2403)
Mn (0.2166, 0.5000, 0.2455)
Mn (0.6873, 0.0000, 0.7268)
Mn (0.7038, 0.0000, 0.2323)
Cr (0.6949, 0.5000, 0.2135)
Cr (0.7068, 0.5000, 0.7551)
O (0.1969, 0.2517, 0.7475)
O (0.1969, 0.7483, 0.7475)
O (0.2023, 0.0000, 0.4835)
O (0.2086, 0.5000, 0.4969)
O (0.2123, 0.5000, 0.9918)
O (0.2130, 0.0000, 0.9941)
O (0.2217, 0.2441, 0.2343)
O (0.2217, 0.7559, 0.2343)
O (0.4409, 0.0000, 0.7451)
O (0.4637, 0.5000, 0.3013)
O (0.6272, 0.2958, 0.6905)
O (0.6272, 0.7042, 0.6905)
O (0.6312, 0.5000, 0.9773)
O (0.6590, 0.0000, 0.4748)
O (0.6644, 0.0000, 0.9868)
O (0.6756, 0.2451, 0.2404)
O (0.6756, 0.7549, 0.2404)
O (0.9282, 0.5000, 0.6975)
O (0.9393, 0.0000, 0.7451)
O (0.9464, 0.5000, 0.2617)
O (0.9502, 0.0000, 0.2244)

Record 3
Compound: Li4Mn3F10
Source: the Materials Project
Functional: PBE+U
Structure: relaxed

Properties
Relative energy among the computed polymorphs   0 meV/atom

Cell lengths 5.4115, 5.4159, 27.0965 Å; angles 90.00, 90.00, 90.00 degrees
Sites, in units of the cell vectors:
Li (0.0144, 0.0104, 0.0745)
Li (0.0144, 0.4896, 0.5745)
Li (0.0368, 0.0340, 0.7798)
Li (0.0368, 0.4660, 0.2798)
Li (0.4632, 0.5340, 0.7798)
Li (0.4632, 0.9660, 0.2798)
Li (0.4856, 0.5104, 0.0745)
Li (0.4856, 0.9896, 0.5745)
Li (0.5144, 0.0104, 0.4255)
Li (0.5144, 0.4896, 0.9255)
Li (0.5368, 0.0340, 0.7202)
Li (0.5368, 0.4660, 0.2202)
Li (0.9632, 0.5340, 0.7202)
Li (0.9632, 0.9660, 0.2202)
Li (0.9856, 0.5104, 0.4255)
Li (0.9856, 0.9896, 0.9255)
Mn (0.0000, 0.0000, 0.5000)
Mn (0.0000, 0.5000, 0.0000)
Mn (0.0036, 0.0042, 0.6485)
Mn (0.0036, 0.4958, 0.1485)
Mn (0.4964, 0.5042, 0.6485)
Mn (0.4964, 0.9958, 0.1485)
Mn (0.5000, 0.0000, 0.0000)
Mn (0.5000, 0.5000, 0.5000)
Mn (0.5036, 0.0042, 0.8515)
Mn (0.5036, 0.4958, 0.3515)
Mn (0.9964, 0.5042, 0.8515)
Mn (0.9964, 0.9958, 0.3515)
F (0.1262, 0.0983, 0.2786)
F (0.1262, 0.4017, 0.7786)
F (0.1398, 0.1070, 0.5743)
F (0.1398, 0.3930, 0.0743)
F (0.1566, 0.1595, 0.1729)
F (0.1566, 0.3405, 0.6729)
F (0.1598, 0.1674, 0.8739)
F (0.1598, 0.3326, 0.3739)
F (0.1612, 0.1654, 0.9772)
F (0.1612, 0.3346, 0.4772)
F (0.3388, 0.6654, 0.9772)
F (0.3388, 0.8346, 0.4772)
F (0.3402, 0.6674, 0.8739)
F (0.3402, 0.8326, 0.3739)
F (0.3434, 0.6595, 0.1729)
F (0.3434, 0.8405, 0.6729)
F (0.3602, 0.6070, 0.5743)
F (0.3602, 0.8930, 0.0743)
F (0.3738, 0.5983, 0.2786)
F (0.3738, 0.9017, 0.7786)
F (0.6262, 0.0983, 0.2214)
F (0.6262, 0.4017, 0.7214)
F (0.6398, 0.1070, 0.9257)
F (0.6398, 0.3930, 0.4257)
F (0.6566, 0.1595, 0.3271)
F (0.6566, 0.3405, 0.8271)
F (0.6598, 0.1674, 0.6261)
F (0.6598, 0.3326, 0.1261)
F (0.6612, 0.1654, 0.5228)
F (0.6612, 0.3346, 0.0228)
F (0.8388, 0.6654, 0.5228)
F (0.8388, 0.8346, 0.0228)
F (0.8402, 0.6674, 0.6261)
F (0.8402, 0.8326, 0.1261)
F (0.8434, 0.6595, 0.3271)
F (0.8434, 0.8405, 0.8271)
F (0.8602, 0.6070, 0.9257)
F (0.8602, 0.8930, 0.4257)
F (0.8738, 0.5983, 0.2214)
F (0.8738, 0.9017, 0.7214)

Record 4
Compound: Al4CoB2O10
Source: the Materials Project
Functional: PBE+U
Structure: relaxed

Properties
Final energy   -126.9 eV/f.u.

Cell lengths 7.2686, 4.3991, 9.6180 Å; angles 90.00, 108.44, 90.00 degrees
Sites, in units of the cell vectors:
Al (0.0749, 0.0056, 0.3913)
Al (0.0749, 0.4944, 0.8913)
Al (0.2968, 0.0216, 0.1681)
Al (0.2968, 0.4784, 0.6681)
Al (0.7032, 0.5216, 0.3319)
Al (0.7032, 0.9784, 0.8319)
Al (0.9251, 0.5056, 0.1087)
Al (0.9251, 0.9944, 0.6087)
Co (0.5000, 0.0000, 0.5000)
Co (0.5000, 0.5000, 0.0000)
B (0.2911, 0.5712, 0.3513)
B (0.2911, 0.9288, 0.8513)
B (0.7089, 0.0712, 0.1487)
B (0.7089, 0.4288, 0.6487)
O (0.1127, 0.2153, 0.5614)
O (0.1127, 0.2847, 0.0614)
O (0.1208, 0.7425, 0.2430)
O (0.1208, 0.7575, 0.7430)
O (0.2811, 0.2419, 0.3443)
O (0.2811, 0.2581, 0.8443)
O (0.2882, 0.6990, 0.4956)
O (0.2882, 0.8010, 0.9956)
O (0.4587, 0.7086, 0.3150)
O (0.4587, 0.7914, 0.8150)
O (0.5413, 0.2086, 0.1850)
O (0.5413, 0.2914, 0.6850)
O (0.7118, 0.1990, 0.0044)
O (0.7118, 0.3010, 0.5044)
O (0.7189, 0.7419, 0.1557)
O (0.7189, 0.7581, 0.6557)
O (0.8792, 0.2425, 0.2570)
O (0.8792, 0.2575, 0.7570)
O (0.8873, 0.7153, 0.9386)
O (0.8873, 0.7847, 0.4386)

Record 5
Compound: MgFe6O6F6
Source: the Materials Project
Functional: PBE+U
Structure: relaxed

Properties
Relative energy among the computed polymorphs   19 meV/atom

Cell lengths 3.1356, 5.1361, 14.7327 Å; angles 92.50, 90.76, 90.00 degrees
Sites, in units of the cell vectors:
Mg (0.0000, 0.0000, 0.0000)
Fe (0.4504, 0.4759, 0.3534)
Fe (0.4595, 0.4937, 0.6695)
Fe (0.4970, 0.4817, 0.9794)
Fe (0.9460, 0.0213, 0.2854)
Fe (0.9540, 0.0382, 0.5189)
Fe (0.9743, 0.0608, 0.8122)
O (0.4441, 0.1927, 0.2502)
O (0.4577, 0.2110, 0.5684)
O (0.4861, 0.1376, 0.9126)
O (0.9472, 0.6635, 0.3039)
O (0.9525, 0.2440, 0.4021)
O (0.9643, 0.3593, 0.7269)
F (0.0011, 0.3387, 0.0631)
F (0.4533, 0.7963, 0.4526)
F (0.4684, 0.8336, 0.7448)
F (0.5067, 0.8308, 0.0617)
F (0.9576, 0.7090, 0.5958)
F (0.9918, 0.6858, 0.9147)

Record 6
Compound: K2Cr2NiO10
Source: the Materials Project
Functional: PBE+U
Structure: relaxed

Properties
Final energy   -84.0 eV/f.u.

Cell lengths 5.5152, 6.5994, 7.5337 Å; angles 110.92, 94.13, 106.55 degrees
Sites, in units of the cell vectors:
K (0.2085, 0.3209, 0.2364)
K (0.7915, 0.6791, 0.7636)
Cr (0.1386, 0.2957, 0.7245)
Cr (0.8614, 0.7043, 0.2755)
Ni (0.5000, 0.0000, 0.5000)
O (0.1068, 0.1256, 0.8406)
O (0.1439, 0.7575, 0.4196)
O (0.2327, 0.5638, 0.8772)
O (0.3651, 0.2635, 0.5819)
O (0.4691, 0.9942, 0.2660)
O (0.5309, 0.0058, 0.7340)
O (0.6349, 0.7365, 0.4181)
O (0.7673, 0.4362, 0.1228)
O (0.8561, 0.2425, 0.5804)
O (0.8932, 0.8744, 0.1594)